Record 1
Crystalline B5Pb2IO9 at its relaxed geometry, computed with PBE-GGA.

The value obtained for the total energy is -490.1 eV per cell. Its total energy after the MP2020 corrections is -7.571 eV per atom. The calculation puts the formation energy at -2.461 eV/atom.

Lattice parameters (Å, degrees): 11.697 11.839 6.587 90.00 90.00 90.00
Space group Pnn2 (No. 34)
One atom of each set of equivalent atoms:
B 0.009 0.248 0.000 x4
B 0.180 0.270 0.775 x4
B 0.202 0.179 0.127 x4
B 0.215 0.787 0.942 x4
B 0.233 0.956 0.162 x4
Pb 0.050 0.762 0.478 x4
Pb 0.231 0.535 0.131 x4
I 0.000 0.000 0.679 x2
I 0.000 0.500 0.416 x2
O 0.055 0.281 0.816 x4
O 0.078 0.208 0.152 x4
O 0.107 0.739 0.040 x4
O 0.191 0.237 0.561 x4
O 0.214 0.914 0.970 x4
O 0.223 0.764 0.727 x4
O 0.224 0.067 0.220 x4
O 0.231 0.181 0.906 x4
O 0.237 0.381 0.817 x4

***

Record 2
Crystalline NaS2NO4F2 at its relaxed geometry, computed with PBE-GGA.

The value obtained for the total energy is -219.4 eV per cell. Its total energy after the MP2020 corrections is -5.853 eV per atom. The calculation puts the formation energy at -1.698 eV/atom.

Lattice parameters (Å, degrees): 7.562 9.323 9.211 90.00 106.51 90.00
Space group P2_1/c (No. 14)
One atom of each set of equivalent atoms:
Na 0.245 0.016 0.432 x4
S 0.136 0.725 0.612 x4
S 0.479 0.219 0.770 x4
N 0.334 0.706 0.140 x4
O 0.004 0.664 0.051 x4
O 0.107 0.634 0.729 x4
O 0.332 0.180 0.258 x4
O 0.483 0.138 0.638 x4
F 0.124 0.619 0.473 x4
F 0.449 0.099 0.886 x4

***

Record 3
Crystalline SrGdCuSe3 at its relaxed geometry, computed with PBE-GGA.

The value obtained for the total energy is -158.8 eV per cell. Its total energy after the MP2020 corrections is -6.853 eV per atom. The calculation puts the formation energy at -1.794 eV/atom.

Lattice parameters (Å, degrees): 10.780 4.141 13.608 90.00 90.00 90.00
Space group Pnma (No. 62)
One atom of each set of equivalent atoms:
Sr 0.231 0.250 0.000 x4
Gd 0.013 0.750 0.256 x4
Cu 0.240 0.750 0.778 x4
Se 0.054 0.750 0.886 x4
Se 0.084 0.250 0.394 x4
Se 0.240 0.250 0.671 x4

***

Record 4
Crystalline CrH9Br3N3 at its relaxed geometry, computed with PBE-GGA.

The value obtained for the total energy is -158.5 eV per cell. Its total energy after the MP2020 corrections is -5.022 eV per atom. The calculation puts the formation energy at -0.640 eV/atom.

Lattice parameters (Å, degrees): 6.036 6.933 9.976 86.13 86.48 85.04
Space group P-1 (No. 2)
One atom of each set of equivalent atoms:
Cr 0.000 0.000 0.000 x1
Cr 0.500 0.500 0.500 x1
H 0.094 0.972 0.733 x2
H 0.103 0.631 0.095 x2
H 0.108 0.341 0.476 x2
H 0.243 0.350 0.327 x2
H 0.250 0.772 0.173 x2
H 0.251 0.132 0.785 x2
H 0.317 0.183 0.443 x2
H 0.321 0.897 0.809 x2
H 0.332 0.710 0.022 x2
Br 0.262 0.215 0.086 x2
Br 0.266 0.806 0.429 x2
Br 0.296 0.495 0.727 x2
N 0.187 0.000 0.810 x2
N 0.192 0.751 0.080 x2
N 0.265 0.327 0.429 x2

***

Record 5
Crystalline Te4Mo3WSe4 at its relaxed geometry, computed with PBE-GGA.

The value obtained for the total energy is -76.8 eV per cell. Its total energy after the MP2020 corrections is -6.558 eV per atom. The calculation puts the formation energy at -0.554 eV/atom.

Lattice parameters (Å, degrees): 3.4394 3.4394 39.0948 90.00 90.00 120.00
Space group P3m1 (No. 156)
One atom of each set of equivalent atoms:
Te 0.0000 0.0000 0.0000 x1
Te 0.0000 0.0000 0.0949 x1
Te 0.3333 0.6667 0.1877 x1
Te 0.3333 0.6667 0.2831 x1
Mo 0.0000 0.0000 0.8596 x1
Mo 0.3333 0.6667 0.0474 x1
Mo 0.3333 0.6667 0.4232 x1
W 0.0000 0.0000 0.2354 x1
Se 0.0000 0.0000 0.3814 x1
Se 0.0000 0.0000 0.4650 x1
Se 0.3333 0.6667 0.8178 x1
Se 0.3333 0.6667 0.9014 x1

***

Record 6
Crystalline CsRuN2 at its relaxed geometry, computed with PBE-GGA.

The value obtained for the total energy is -210.3 eV per cell. Its total energy after the MP2020 corrections is -6.753 eV per atom. The calculation puts the formation energy at -0.043 eV/atom.

Lattice parameters (Å, degrees): 8.639 8.639 8.639 90.00 90.00 90.00
Space group Fd-3m (No. 227, origin choice 2)
One atom of each set of equivalent atoms:
Cs 0.125 0.125 0.125 x8
Ru 0.125 0.125 0.625 x8
N 0.000 0.000 0.500 x16